[1]
A geometry-optimized BaZnSe2O6 structure, computed with GGA-PBE.

a = 5.6176 Å, b = 14.5255 Å, c = 9.8730 Å
α = 90.00°, β = 109.68°, γ = 90.00°
Space group P2_1/c (No. 14)
One atom of each set of equivalent atoms:
Ba 0.1926 0.2369 0.3482 [4 per cell]
Zn 0.2569 0.5760 0.5071 [4 per cell]
Se 0.3413 0.6301 0.8305 [4 per cell]
Se 0.3452 0.5404 0.2152 [4 per cell]
O 0.1313 0.5790 0.2969 [4 per cell]
O 0.1822 0.6555 0.6405 [4 per cell]
O 0.3319 0.0557 0.0974 [4 per cell]
O 0.3505 0.1743 0.6322 [4 per cell]
O 0.3880 0.6349 0.1291 [4 per cell]
O 0.3927 0.1053 0.9858 [4 per cell]

Summary:
Polymorph energy (0 for the lowest one) in eV/atom: 0.7093
Magnetic moment in μB/cell: 0.0
Formation enthalpy at 0 K in eV/atom: -1.21

[2]
A geometry-optimized Ta6Cr3Fe3C2 structure, computed with GGA-PBE.

a = 8.0666 Å, b = 8.0943 Å, c = 11.4441 Å
α = 90.00°, β = 90.00°, γ = 90.00°
Space group Imm2 (No. 44)
One atom of each set of equivalent atoms:
Ta 0.0000 0.0000 0.0000 [2 per cell]
Ta 0.0000 0.0000 0.3902 [2 per cell]
Ta 0.0000 0.5000 0.1404 [2 per cell]
Ta 0.0000 0.5000 0.7504 [2 per cell]
Ta 0.1949 0.1947 0.1949 [8 per cell]
Ta 0.1949 0.3056 0.9448 [8 per cell]
Cr 0.0000 0.2489 0.5709 [4 per cell]
Cr 0.0000 0.3446 0.3681 [4 per cell]
Cr 0.2490 0.0000 0.8198 [4 per cell]
Fe 0.0000 0.1519 0.7710 [4 per cell]
Fe 0.1533 0.0000 0.6184 [4 per cell]
Fe 0.1564 0.5000 0.5247 [4 per cell]
C 0.0000 0.2490 0.0701 [4 per cell]
C 0.2505 0.0000 0.3198 [4 per cell]

Summary:
Magnetic moment in μB/cell: 15.7
Formation enthalpy at 0 K in eV/atom: -0.32

[3]
A geometry-optimized HoZnSn structure, computed with GGA-PBE.

a = 4.5313 Å, b = 4.5313 Å, c = 15.5730 Å
α = 90.00°, β = 90.00°, γ = 120.00°
Space group P6_3/mmc (No. 194)
One atom of each set of equivalent atoms:
Ho 0.0000 0.0000 0.0000 [2 per cell]
Ho 0.0000 0.0000 0.2500 [2 per cell]
Zn 0.3333 0.6667 0.1585 [4 per cell]
Sn 0.3333 0.6667 0.6115 [4 per cell]

Summary:
Formation enthalpy at 0 K in eV/atom: -0.57

[4]
A geometry-optimized CsHgSbSe3 structure, computed with GGA-PBE.

a = 4.3551 Å, b = 16.2161 Å, c = 11.5642 Å
α = 90.00°, β = 90.00°, γ = 90.00°
Space group Cmc2_1 (No. 36)
One atom of each set of equivalent atoms:
Cs 0.0000 0.2441 0.0000 [4 per cell]
Hg 0.0000 0.0493 0.4907 [4 per cell]
Sb 0.0000 0.4913 0.7372 [4 per cell]
Se 0.0000 0.1130 0.7027 [4 per cell]
Se 0.0000 0.1249 0.2897 [4 per cell]
Se 0.0000 0.4408 0.5169 [4 per cell]

Summary:
Magnetic moment in μB/cell: 0.0
Formation enthalpy at 0 K in eV/atom: -0.75

[5]
A geometry-optimized Lu2MgS4 structure, computed with GGA-PBE.

a = 10.9943 Å, b = 10.9943 Å, c = 10.9943 Å
α = 90.00°, β = 90.00°, γ = 90.00°
Space group Fd-3m (No. 227, origin choice 2)
One atom of each set of equivalent atoms:
Lu 0.0000 0.0000 0.0000 [16 per cell]
Mg 0.1250 0.1250 0.6250 [8 per cell]
S 0.0060 0.0060 0.2440 [32 per cell]

Summary:
Polymorph energy (0 for the lowest one) in eV/atom: 0.0000
Formation enthalpy at 0 K in eV/atom: -2.18

[6]
A geometry-optimized Zr3Pb structure, computed with GGA-PBE.

a = 4.4011 Å, b = 4.4011 Å, c = 9.6686 Å
α = 90.00°, β = 90.00°, γ = 90.00°
Space group I4/mmm (No. 139)
One atom of each set of equivalent atoms:
Zr 0.0000 0.0000 0.0000 [2 per cell]
Zr 0.0000 0.5000 0.2500 [4 per cell]
Pb 0.0000 0.0000 0.5000 [2 per cell]

Summary:
Formation enthalpy at 0 K in eV/atom: -0.14

[7]
A geometry-optimized AsXe2O4F9 structure, computed with GGA-PBE.

a = 10.6935 Å, b = 5.5022 Å, c = 19.0758 Å
α = 90.00°, β = 101.31°, γ = 90.00°
Space group P2_1/c (No. 14)
One atom of each set of equivalent atoms:
As 0.0140 0.1514 0.1255 [4 per cell]
Xe 0.2820 0.1197 0.4328 [4 per cell]
Xe 0.3176 0.6640 0.1596 [4 per cell]
O 0.3593 0.1043 0.9768 [4 per cell]
O 0.3931 0.1314 0.6885 [4 per cell]
O 0.4096 0.5993 0.9242 [4 per cell]
O 0.4430 0.6304 0.6394 [4 per cell]
F 0.0281 0.6861 0.9551 [4 per cell]
F 0.0559 0.5112 0.7052 [4 per cell]
F 0.0670 0.1122 0.9174 [4 per cell]
F 0.0968 0.0849 0.6665 [4 per cell]
F 0.1296 0.7437 0.8503 [4 per cell]
F 0.1569 0.0489 0.0984 [4 per cell]
F 0.2573 0.2467 0.3310 [4 per cell]
F 0.2737 0.5404 0.0435 [4 per cell]
F 0.3205 0.7091 0.7601 [4 per cell]

Summary:
Magnetic moment in μB/cell: 0.0
Formation enthalpy at 0 K in eV/atom: -0.89

[8]
A geometry-optimized CuBi2Se3O11 structure, computed with GGA-PBE.

a = 11.0044 Å, b = 16.5392 Å, c = 5.6893 Å
α = 90.00°, β = 90.00°, γ = 90.00°
Space group Aem2 (No. 39)
One atom of each set of equivalent atoms:
Cu 0.1039 0.2500 0.0000 [4 per cell]
Bi 0.3789 0.0829 0.2624 [8 per cell]
Se 0.1484 0.0793 0.7621 [8 per cell]
Se 0.3777 0.2500 0.8401 [4 per cell]
O 0.0459 0.2500 0.3849 [4 per cell]
O 0.0905 0.1362 0.9993 [8 per cell]
O 0.2312 0.1449 0.6022 [8 per cell]
O 0.2616 0.0284 0.9316 [8 per cell]
O 0.2732 0.2500 0.0766 [4 per cell]
O 0.4639 0.1684 0.9495 [8 per cell]
O 0.5000 0.0000 0.0499 [4 per cell]

Summary:
Magnetic moment in μB/cell: 4.0
Formation enthalpy at 0 K in eV/atom: -1.25

[9]
A geometry-optimized Na3CuPHClO5 structure, computed with GGA-PBE.

a = 11.2037 Å, b = 6.8870 Å, c = 8.5528 Å
α = 90.00°, β = 90.00°, γ = 90.00°
Space group Pnma (No. 62)
One atom of each set of equivalent atoms:
Na 0.0183 0.2500 0.2173 [4 per cell]
Na 0.2462 0.0407 0.4089 [8 per cell]
Cu 0.0000 0.0000 0.5000 [4 per cell]
P 0.0403 0.7500 0.1816 [4 per cell]
H 0.1261 0.2500 0.9594 [4 per cell]
Cl 0.2247 0.7500 0.6317 [4 per cell]
O 0.0684 0.5648 0.2752 [8 per cell]
O 0.0763 0.2500 0.4761 [4 per cell]
O 0.0968 0.7500 0.0177 [4 per cell]
O 0.1059 0.2500 0.8474 [4 per cell]

Summary:
Magnetic moment in μB/cell: 4.0
Formation enthalpy at 0 K in eV/atom: -1.90

[10]
A geometry-optimized Cu2C4NCl5 structure, computed with GGA-PBE.

a = 6.8500 Å, b = 18.5186 Å, c = 10.6403 Å
α = 90.00°, β = 97.14°, γ = 90.00°
Space group P2_1/c (No. 14)
One atom of each set of equivalent atoms:
Cu 0.1242 0.0902 0.4173 [4 per cell]
Cu 0.2811 0.5139 0.0823 [4 per cell]
C 0.0355 0.6669 0.6925 [4 per cell]
C 0.3082 0.6597 0.5645 [4 per cell]
C 0.3882 0.1222 0.0368 [4 per cell]
C 0.4449 0.6411 0.4980 [4 per cell]
N 0.1666 0.6763 0.6188 [4 per cell]
Cl 0.0168 0.5854 0.7693 [4 per cell]
Cl 0.1286 0.2322 0.7776 [4 per cell]
Cl 0.1664 0.6052 0.1747 [4 per cell]
Cl 0.3313 0.0760 0.1628 [4 per cell]
Cl 0.4074 0.0869 0.5250 [4 per cell]

Summary:
Polymorph energy (0 for the lowest one) in eV/atom: 0.0000
Magnetic moment in μB/cell: 0.2
Formation enthalpy at 0 K in eV/atom: 0.00

[11]
A geometry-optimized Pr2CdPd2 structure, computed with GGA-PBE.

a = 7.8739 Å, b = 7.8739 Å, c = 3.9715 Å
α = 90.00°, β = 90.00°, γ = 90.00°
Space group P4/mbm (No. 127)
One atom of each set of equivalent atoms:
Pr 0.1745 0.3255 0.0000 [4 per cell]
Cd 0.0000 0.0000 0.5000 [2 per cell]
Pd 0.1269 0.6269 0.5000 [4 per cell]

Summary:
Formation enthalpy at 0 K in eV/atom: -0.73

[12]
A geometry-optimized Cu3Sb4O12 structure, computed with GGA-PBE.

a = 7.6994 Å, b = 7.6994 Å, c = 7.6994 Å
α = 90.00°, β = 90.00°, γ = 90.00°
Space group Im-3 (No. 204)
One atom of each set of equivalent atoms:
Cu 0.0000 0.0000 0.5000 [6 per cell]
Sb 0.2500 0.2500 0.2500 [8 per cell]
O 0.0000 0.1852 0.3142 [24 per cell]

Summary:
Magnetic moment in μB/cell: 3.2
Formation enthalpy at 0 K in eV/atom: -1.53

| no. | E (eV/cell) |
| --- | --- |
| 1 | -203.9 |
| 2 | -593.7 |
| 3 | -46.3 |
| 4 | -75.6 |
| 5 | -323.6 |
| 6 | -59.8 |
| 7 | -196.4 |
| 8 | -361.7 |
| 9 | -251.1 |
| 10 | -238.4 |
| 11 | -49.0 |
| 12 | -218.1 |